Entry 1:
{"formula": "CaPbI6", "functional": "GGA-PBE", "state": "relaxed", "cell": [[0.000, 10.545, 11.749], [6.558, 0.000, 11.749], [6.558, 10.545, 0.000]], "species": ["I", "I", "I", "Ca", "I", "I", "I", "I", "I", "I", "I", "I", "I", "Pb", "I", "I", "I", "I", "I", "Ca", "I", "I", "Ca", "I", "Pb", "I", "Pb", "I", "I", "Pb", "Ca", "I"], "frac_coords": [[0.638, 0.417, 0.176], [0.002, 0.206, 0.602], [0.379, 0.238, 0.972], [0.587, 0.632, 0.695], [0.648, 0.060, 0.248], [0.012, 0.871, 0.840], [0.410, 0.972, 0.238], [0.785, 0.910, 0.709], [0.565, 0.408, 0.795], [0.044, 0.248, 0.060], [0.976, 0.894, 0.303], [0.455, 0.018, 0.685], [0.842, 0.685, 0.018], [0.217, 0.911, 0.608], [0.232, 0.795, 0.408], [0.190, 0.602, 0.206], [0.595, 0.709, 0.910], [0.074, 0.481, 0.612], [0.827, 0.303, 0.894], [0.086, 0.695, 0.632], [0.356, 0.274, 0.423], [0.541, 0.655, 0.465], [0.618, 0.663, 0.164], [0.947, 0.423, 0.274], [0.264, 0.608, 0.911], [0.278, 0.840, 0.871], [0.339, 0.033, 0.986], [0.833, 0.612, 0.481], [0.769, 0.176, 0.417], [0.642, 0.986, 0.033], [0.555, 0.164, 0.663], [0.340, 0.465, 0.655]], "space_group": "Fdd2, No. 43"}


Entry 2:
{"formula": "Ca3Pb3I14", "functional": "GGA-PBE", "state": "relaxed", "cell": [[4.510, 0.000, 0.000], [0.000, 17.034, 0.000], [0.000, 5.844, 23.595]], "species": ["Pb", "I", "Pb", "I", "I", "I", "I", "Pb", "I", "I", "Ca", "I", "I", "I", "I", "I", "I", "I", "I", "Ca", "I", "I", "Ca", "I", "Ca", "Ca", "I", "I", "I", "I", "Ca", "I", "Pb", "Pb", "I", "I", "I", "I", "I", "Pb"], "frac_coords": [[0.750, 0.126, 0.636], [0.750, 0.392, 0.737], [0.750, 0.466, 0.293], [0.750, 0.946, 0.709], [0.750, 0.304, 0.560], [0.750, 0.390, 0.998], [0.750, 0.047, 0.852], [0.250, 0.243, 0.022], [0.250, 0.953, 0.148], [0.250, 0.155, 0.721], [0.750, 0.056, 0.187], [0.750, 0.446, 0.426], [0.250, 0.554, 0.574], [0.250, 0.892, 0.964], [0.250, 0.268, 0.885], [0.750, 0.845, 0.279], [0.750, 0.108, 0.036], [0.750, 0.188, 0.423], [0.250, 0.535, 0.841], [0.750, 0.704, 0.542], [0.750, 0.904, 0.450], [0.250, 0.054, 0.291], [0.750, 0.401, 0.866], [0.250, 0.204, 0.158], [0.250, 0.599, 0.134], [0.250, 0.296, 0.458], [0.750, 0.465, 0.159], [0.250, 0.610, 0.002], [0.250, 0.096, 0.550], [0.750, 0.796, 0.842], [0.250, 0.944, 0.813], [0.250, 0.330, 0.312], [0.250, 0.534, 0.707], [0.250, 0.874, 0.364], [0.750, 0.670, 0.688], [0.250, 0.812, 0.577], [0.250, 0.608, 0.263], [0.750, 0.732, 0.115], [0.250, 0.696, 0.440], [0.750, 0.757, 0.978]], "space_group": "P2_1/m, No. 11", "polymorph_energy_kcal_per_mol_atoms": 0.00}


Entry 3:
{"formula": "CaPbI6", "functional": "GGA-PBE", "state": "relaxed", "cell": [[13.447, 2.122, 9.217], [1.804, -0.051, 13.795], [8.964, -8.801, 1.859]], "species": ["I", "Ca", "I", "I", "Ca", "Pb", "I", "I", "I", "I", "Pb", "I", "I", "I", "I", "I", "Ca", "I", "I", "I", "I", "I", "Pb", "Pb", "I", "I", "Ca", "I", "I", "I", "I", "I"], "frac_coords": [[0.452, 0.983, 0.220], [0.564, 0.113, 0.013], [0.863, 0.293, 0.872], [0.339, 0.478, 0.683], [0.237, 0.940, 0.686], [0.581, 0.183, 0.683], [0.946, 0.655, 0.980], [0.772, 0.911, 0.750], [0.267, 0.798, 0.905], [0.419, 0.980, 0.655], [0.567, 0.698, 0.669], [0.076, 0.172, 0.094], [0.957, 0.387, 0.278], [0.657, 0.094, 0.172], [0.500, 0.683, 0.478], [0.156, 0.593, 0.174], [0.137, 0.686, 0.940], [0.078, 0.174, 0.593], [0.101, 0.448, 0.607], [0.844, 0.607, 0.448], [0.802, 0.149, 0.406], [0.378, 0.278, 0.387], [0.552, 0.683, 0.183], [0.067, 0.669, 0.698], [0.345, 0.220, 0.983], [0.030, 0.905, 0.798], [0.310, 0.013, 0.113], [0.595, 0.304, 0.831], [0.567, 0.750, 0.911], [0.972, 0.872, 0.293], [0.270, 0.831, 0.304], [0.643, 0.406, 0.149]], "space_group": "Fdd2, No. 43"}


Entry 4:
{"formula": "Ca3Pb3I14", "functional": "GGA-PBE", "state": "relaxed", "cell": [[4.455, 0.000, 0.000], [0.000, 17.067, 0.000], [0.000, 5.984, 23.767]], "species": ["Pb", "I", "I", "I", "I", "Ca", "I", "I", "I", "I", "Ca", "I", "Ca", "Pb", "Ca", "I", "I", "I", "Ca", "I", "Pb", "I", "I", "Pb", "I", "I", "I", "I", "I", "I", "I", "I", "Pb", "I", "I", "I", "I", "Ca", "I", "Pb"], "frac_coords": [[0.250, 0.601, 0.134], [0.750, 0.920, 0.445], [0.250, 0.544, 0.582], [0.250, 0.543, 0.838], [0.250, 0.156, 0.718], [0.750, 0.464, 0.290], [0.750, 0.191, 0.424], [0.750, 0.456, 0.418], [0.750, 0.401, 0.733], [0.250, 0.080, 0.555], [0.250, 0.239, 0.020], [0.250, 0.893, 0.975], [0.750, 0.761, 0.980], [0.750, 0.399, 0.866], [0.250, 0.877, 0.364], [0.250, 0.623, 0.998], [0.250, 0.330, 0.306], [0.750, 0.844, 0.282], [0.250, 0.536, 0.710], [0.250, 0.256, 0.887], [0.750, 0.691, 0.537], [0.250, 0.697, 0.434], [0.750, 0.107, 0.025], [0.250, 0.940, 0.802], [0.750, 0.303, 0.566], [0.750, 0.670, 0.694], [0.250, 0.210, 0.151], [0.250, 0.960, 0.144], [0.750, 0.790, 0.849], [0.750, 0.457, 0.162], [0.250, 0.060, 0.300], [0.750, 0.940, 0.700], [0.250, 0.309, 0.463], [0.250, 0.599, 0.267], [0.250, 0.809, 0.576], [0.750, 0.744, 0.113], [0.750, 0.040, 0.856], [0.750, 0.123, 0.636], [0.750, 0.377, 0.002], [0.750, 0.060, 0.198]], "space_group": "P2_1/m, No. 11", "polymorph_energy_kcal_per_mol_atoms": 0.31}


| no. | energy of formation from the pure elements (eV per formula unit) | corrected total energy (MP2020 scheme) (eV per atom) |
| --- | --- | --- |
| 1 | -8.6 | -2.929 |
| 2 | -24.4 | -3.147 |
| 3 | -8.6 | -2.927 |
| 4 | -24.2 | -3.133 |